! Na5Hf2Ta2Si5PO24 (PBE, relaxed); values from VASP
! - Formation energy from the elements: -3169 meV per atom
! - Symmetry: P1 (1)
! - Raw total energy: -7.91 eV per atom
&SYSTEM
  ibrav = 0, nat = 117, ntyp = 6
/
ATOMIC_SPECIES
Na 22.99 Na.upf
Hf 178.49 Hf.upf
Ta 180.95 Ta.upf
Si 28.09 Si.upf
P 30.97 P.upf
O 16.00 O.upf
ATOMIC_POSITIONS angstrom
Na 5.7670 0.0335 5.6998
Na 1.6652 2.8188 5.6678
Na 6.1290 4.9524 5.6672
Na 7.3642 2.8178 17.0703
Na -2.8630 5.4532 13.2250
Na 1.6175 7.5269 13.2232
Na 5.7423 5.2018 20.9304
Na 6.1516 0.2500 20.8873
Na 1.6051 2.3096 20.9504
Na 0.0056 0.0186 11.2596
Na 0.0345 0.0183 0.1135
Na 4.4551 2.5638 18.9403
Na 4.5285 2.6003 7.6279
Na -0.0012 5.1749 3.6893
Na 0.0594 5.1843 15.1302
Hf 4.5002 7.7903 8.0723
Hf 0.0025 -0.0064 19.3627
Hf 4.5126 2.6359 4.1808
Hf 4.4903 2.5790 22.4241
Hf -0.0525 5.1778 0.5240
Hf 0.0030 5.1842 11.8330
Ta -0.0065 0.0025 14.7215
Ta 0.0326 -0.0035 3.3296
Ta 4.4659 2.5910 15.6398
Ta 4.5360 2.5878 10.8793
Ta -0.0327 5.2242 7.1798
Ta -0.0484 5.2418 18.4598
Si -1.9064 7.8172 5.7129
Si 3.1995 5.5641 5.6797
Si -1.3048 2.2505 5.7057
Si 1.3298 2.2679 17.0874
Si 5.7998 5.5272 17.0670
Si 1.8675 7.7888 17.0581
Si 7.1147 2.5912 13.2989
Si 3.1814 0.3715 13.2687
Si 3.1980 4.8319 13.2773
Si 5.8330 4.9377 1.8975
Si 1.8436 2.5970 1.9018
Si -1.3378 2.9169 20.8644
Si -1.3330 7.4671 20.8887
Si 1.3122 7.5008 9.5238
Si -2.6597 5.2025 9.5339
P 5.8807 0.3091 1.9077
P 2.5673 5.1942 20.8623
P 1.3243 2.9436 9.4923
O 1.6693 0.2985 6.9755
O 3.9386 6.2204 6.9503
O 7.9557 1.3035 6.9672
O 1.0786 1.3886 18.4335
O 5.1699 6.1522 18.4200
O 7.2780 0.2690 18.3935
O 2.8508 7.5925 15.7494
O 0.5655 1.5102 15.8304
O -3.5239 6.4775 15.7704
O 3.4375 6.5672 4.3961
O -0.5702 1.5453 4.4091
O -2.8909 7.5183 4.4132
O 6.1643 2.8060 14.6233
O 3.8971 1.0916 14.5634
O 3.5494 3.9013 14.5837
O 5.5710 4.0249 3.2218
O 5.2574 0.9700 3.1574
O 2.7720 2.7712 3.2296
O 2.7608 2.3496 0.5441
O 5.1930 4.2535 0.5370
O 5.6169 1.1878 0.6309
O 3.4872 1.3270 11.9883
O 3.9482 4.1276 12.0084
O 6.1104 2.3146 12.0226
O 1.6962 5.4599 22.0962
O -0.5839 3.6087 22.1135
O -1.0661 6.4940 22.1365
O 1.0206 6.6034 10.8455
O 0.7014 3.6282 10.7147
O -1.7323 5.3671 10.8538
O -1.6563 4.9801 8.1917
O 0.6432 6.7256 8.1839
O 1.0344 3.8326 8.2098
O -1.0290 3.8774 19.5363
O -0.6182 6.7043 19.5812
O 1.6443 4.9674 19.6182
O -3.5657 6.5233 9.3780
O 2.9048 7.6880 9.3689
O 0.6928 1.5595 9.3413
O -0.6929 1.4120 20.7486
O -2.9595 7.6022 20.7453
O 3.4826 6.4366 20.6966
O 7.9914 1.2021 13.4654
O 1.5585 0.1614 13.4833
O 3.9263 6.3194 13.4733
O 5.0965 6.3987 2.0617
O 7.4145 0.2103 2.0540
O 0.9066 1.2498 2.0763
O 5.4910 1.3241 16.8723
O 2.9312 2.4301 16.8902
O 5.2326 4.0033 16.8909
O 3.8368 4.0620 5.5403
O 6.1282 2.4531 5.5331
O 3.6246 1.2528 5.5282
O 3.4561 3.9229 20.9675
O 6.0704 2.8008 20.9565
O 3.8841 1.1284 20.9493
O 5.0662 1.1370 9.6402
O 2.8624 2.8505 9.6332
O 5.4679 3.8411 9.6507
O 0.9499 3.9398 1.7794
O -1.6006 5.1044 1.7924
O 0.7304 6.7512 1.7344
O -0.6603 6.7074 13.1856
O 1.6029 5.0862 13.2103
O -1.0389 3.9290 13.1981
O -0.9734 6.4405 5.8654
O 1.5573 5.3997 5.8696
O -0.5906 3.7453 5.8676
O 0.5685 3.7182 17.2522
O -1.5985 5.3337 17.2374
O 0.9418 6.4498 17.2424
CELL_PARAMETERS angstrom
9.0448 0.0055 -0.0107
-4.5177 7.8236 -0.0045
-0.0274 -0.0291 22.7894